{"formula": "PaBi3", "functional": "PBE", "state": "relaxed", "cell": [[6.0642, -1.9771, -0.2967], [2.6482, -2.4274, 5.2789], [-5.3742, -0.7902, -3.3564]], "species": ["Pa", "Bi", "Bi", "Bi"], "frac_coords": [[0.0000, 0.0000, 0.0000], [0.7500, 0.2500, 0.5000], [0.2500, 0.7500, 0.5000], [0.5000, 0.5000, 0.0000]], "e_form_ev_per_atom": -0.11, "de_polymorph_kj_per_mol_fu": 0}


{"formula": "Nb6BiSe8", "functional": "PBE", "state": "relaxed", "cell": [[-6.4595, 2.8767, 7.3030], [-3.2968, -1.1174, -9.5508], [-0.7485, -3.3238, 0.6473]], "species": ["Se", "Se", "Se", "Se", "Se", "Se", "Se", "Se", "Nb", "Nb", "Nb", "Nb", "Nb", "Nb", "Bi"], "frac_coords": [[0.2786, 0.3374, 0.7499], [0.0588, 0.7214, 0.7499], [0.3333, 0.6667, 0.2499], [0.7214, 0.6626, 0.2501], [0.3374, 0.0588, 0.2501], [0.9412, 0.2786, 0.2501], [0.6626, 0.9412, 0.7499], [0.6667, 0.3333, 0.7501], [0.4876, 0.3796, 0.2508], [0.8920, 0.5124, 0.2508], [0.6204, 0.1080, 0.2508], [0.3796, 0.8920, 0.7492], [0.1080, 0.4876, 0.7492], [0.5124, 0.6204, 0.7492], [0.0000, 0.0000, 0.5000]], "energy_mp2020_ev_per_atom": -7.133, "e_form_ev_per_atom": -0.97, "magmom_total_mub_per_fu": 0.01}